DFT (GGA-PBE) results for a geometry-optimized TiPHO5 structure.

Results
E_tot in eV per atom: -7.51
Energy above the lowest structure with this stoichiometry in eV per atom: 0.002
Symmetry: P2_1, No. 4
Maximum piezoelectric response in C/m2: 0.34
ΔH_f (0 K) in meV per atom: -2761.3

Structure (POSCAR):
```
TiPHO5
1.0
7.0735 0.0000 0.0000
0.0000 7.4523 0.0000
0.0000 3.4334 6.6877
O Ti P H
20 4 4 4
Direct
0.7287 0.0905 0.8560 O
0.3638 0.0026 0.7486 O
0.2237 0.0901 0.3515 O
0.4841 0.1643 0.0906 O
0.7457 0.4058 0.1494 O
0.4891 0.3314 0.4063 O
0.2419 0.4088 0.6440 O
0.7419 0.5912 0.3560 O
0.6476 0.4994 0.7526 O
0.8638 0.9974 0.2514 O
0.9919 0.3336 0.9078 O
0.9891 0.6686 0.5937 O
0.9824 0.1634 0.5894 O
0.4824 0.8366 0.4106 O
0.2457 0.5942 0.8506 O
0.1476 0.5006 0.2474 O
0.4919 0.6664 0.0922 O
0.2287 0.9095 0.1440 O
0.9841 0.8357 0.9094 O
0.7237 0.9099 0.6485 O
0.7269 0.2808 0.9745 Ti
0.2269 0.7192 0.0255 Ti
0.7232 0.7186 0.5295 Ti
0.2232 0.2814 0.4705 Ti
0.8570 0.0001 0.7507 P
0.6166 0.4987 0.2514 P
0.3570 0.9999 0.2493 P
0.1166 0.5013 0.7486 P
0.9616 0.0526 0.3078 H
0.4616 0.9474 0.6922 H
0.4436 0.0679 0.8109 H
0.9436 0.9321 0.1891 H
```